[1]
The following is a GGA+U calculation of a relaxed structure of Li7Mn4CoO12, from the Materials Project database. Values from VASP.

Output
SG: P1
Total magnetic moment (μB/f.u.): 17.977
Calculated formation energy (eV/atom): -2.0196
Crystal system: triclinic
ΔE to the lowest computed polymorph (meV per atom): 65

Structure (Quantum ESPRESSO input):
```
&SYSTEM
  ibrav = 0, nat = 24, ntyp = 4
/
ATOMIC_SPECIES
Li 6.94 Li.upf
Mn 54.94 Mn.upf
Co 58.93 Co.upf
O 16.00 O.upf
CELL_PARAMETERS angstrom
3.012 0.000 0.000
-0.873 7.788 0.000
-0.332 -3.720 9.452
ATOMIC_POSITIONS crystal
Li 0.168 0.330 0.903
Li 0.813 0.663 0.593
Li 0.496 0.998 0.251
Li 0.831 0.665 0.078
Li 0.515 0.012 0.749
Li 0.180 0.340 0.424
Li 0.650 0.328 0.674
Mn 0.995 0.994 0.996
Mn 0.011 0.013 0.506
Mn 0.348 0.670 0.333
Mn 0.668 0.331 0.166
Co 0.317 0.651 0.826
O 0.616 0.168 0.966
O 0.267 0.522 0.644
O 0.957 0.836 0.302
O 0.284 0.501 0.136
O 0.938 0.828 0.800
O 0.548 0.148 0.466
O 0.727 0.514 0.871
O 0.461 0.852 0.530
O 0.043 0.160 0.198
O 0.381 0.822 0.023
O 0.069 0.153 0.695
O 0.720 0.499 0.370
```

=====

[2]
The following is a GGA+U calculation of a relaxed structure of Li7Mn4CoO12, from the Materials Project database. Values from VASP.

Output
Total magnetic moment (μB/f.u.): 14.010
Calculated formation energy (eV/atom): -2.0726
ΔE to the lowest computed polymorph (meV per atom): 12

Structure (Quantum ESPRESSO input):
```
&SYSTEM
  ibrav = 0, nat = 48, ntyp = 4
/
ATOMIC_SPECIES
Li 6.94 Li.upf
Mn 54.94 Mn.upf
Co 58.93 Co.upf
O 16.00 O.upf
CELL_PARAMETERS angstrom
-0.172 0.000 5.193
-4.731 8.581 -2.104
-9.635 0.000 0.986
ATOMIC_POSITIONS crystal
Li 0.833 0.167 0.167
Li 0.333 0.167 0.667
Li 0.583 0.667 0.917
Li 0.083 0.667 0.417
Li 0.083 0.167 0.417
Li 0.583 0.167 0.917
Li 0.413 0.327 0.087
Li 0.913 0.327 0.587
Li 0.253 0.007 0.247
Li 0.753 0.007 0.747
Li 0.999 0.499 0.001
Li 0.499 0.499 0.501
Li 0.167 0.834 0.833
Li 0.667 0.834 0.333
Mn 0.000 0.999 0.000
Mn 0.500 0.999 0.500
Mn 0.667 0.334 0.333
Mn 0.167 0.334 0.833
Mn 0.248 0.496 0.252
Mn 0.748 0.496 0.752
Mn 0.419 0.837 0.081
Mn 0.919 0.837 0.581
Co 0.833 0.667 0.167
Co 0.333 0.667 0.667
O 0.481 0.167 0.299
O 0.981 0.167 0.799
O 0.186 0.167 0.034
O 0.686 0.167 0.534
O 0.187 0.667 0.062
O 0.687 0.667 0.562
O 0.980 0.667 0.771
O 0.480 0.667 0.271
O 0.016 0.340 0.223
O 0.516 0.340 0.723
O 0.343 0.993 0.896
O 0.843 0.993 0.396
O 0.824 0.340 0.937
O 0.324 0.340 0.437
O 0.150 0.993 0.610
O 0.650 0.993 0.110
O 0.644 0.500 0.132
O 0.144 0.500 0.632
O 0.811 0.834 0.965
O 0.311 0.834 0.465
O 0.356 0.500 0.869
O 0.856 0.500 0.369
O 0.523 0.834 0.702
O 0.023 0.834 0.202
```

=====

[3]
The following is a GGA+U calculation of a relaxed structure of Li4Mn3CoO8, from the Materials Project database. Values from VASP.

Output
SG: P-1
Total magnetic moment (μB/f.u.): 2.000
Calculated formation energy (eV/atom): -2.0238
Crystal system: triclinic
ΔE to the lowest computed polymorph (meV per atom): 4

Structure (Quantum ESPRESSO input):
```
&SYSTEM
  ibrav = 0, nat = 16, ntyp = 4
/
ATOMIC_SPECIES
Li 6.94 Li.upf
Mn 54.94 Mn.upf
Co 58.93 Co.upf
O 16.00 O.upf
CELL_PARAMETERS angstrom
4.906 -0.024 -1.438
-0.429 5.432 0.008
-0.017 0.008 5.694
ATOMIC_POSITIONS crystal
Li 0.493 0.229 0.875
Li 0.507 0.771 0.125
Li 0.504 0.747 0.628
Li 0.496 0.253 0.372
Mn 0.000 0.000 0.500
Mn 0.998 0.498 0.249
Mn 0.002 0.502 0.751
Co 0.000 0.000 0.000
O 0.233 0.889 0.808
O 0.767 0.111 0.192
O 0.224 0.376 0.057
O 0.776 0.624 0.943
O 0.234 0.390 0.559
O 0.766 0.610 0.441
O 0.229 0.892 0.301
O 0.771 0.108 0.699
```

=====

[4]
The following is a GGA+U calculation of a relaxed structure of Li4MnCo2O7, from the Materials Project database. Values from VASP.

Output
SG: P1
Total magnetic moment (μB/f.u.): 5.000
Calculated formation energy (eV/atom): -1.8593
Crystal system: triclinic
ΔE to the lowest computed polymorph (meV per atom): 25

Structure (Quantum ESPRESSO input):
```
&SYSTEM
  ibrav = 0, nat = 28, ntyp = 4
/
ATOMIC_SPECIES
Li 6.94 Li.upf
Mn 54.94 Mn.upf
Co 58.93 Co.upf
O 16.00 O.upf
CELL_PARAMETERS angstrom
-1.209 0.853 -4.770
-4.398 -3.232 2.237
-3.722 7.393 3.110
ATOMIC_POSITIONS crystal
Li 0.422 0.362 0.848
Li 0.698 0.923 0.437
Li 0.857 0.216 0.708
Li 0.148 0.781 0.296
Li 0.288 0.068 0.570
Li 0.574 0.642 0.146
Li 0.006 0.500 0.998
Li 0.284 0.576 0.576
Mn 0.001 0.997 0.996
Mn 0.856 0.712 0.711
Co 0.575 0.146 0.146
Co 0.138 0.291 0.299
Co 0.429 0.856 0.855
Co 0.708 0.439 0.433
O 0.275 0.289 0.068
O 0.582 0.882 0.662
O 0.717 0.150 0.931
O 0.982 0.747 0.516
O 0.140 0.012 0.794
O 0.435 0.590 0.355
O 0.856 0.454 0.214
O 0.599 0.415 0.647
O 0.859 0.974 0.193
O 0.995 0.254 0.487
O 0.282 0.837 0.055
O 0.432 0.113 0.351
O 0.720 0.704 0.919
O 0.144 0.567 0.789
```

=====

> Which formula does entry 3 have?

Li4Mn3CoO8

=====

> The lowest total magnetic moment belongs to which entry?

Li4Mn3CoO8

=====

> Look up the calculated formation energy of the third one.

-2.0238 eV/atom

=====

> The highest total magnetic moment belongs to which entry?

number 1